[1]
126
Lattice="9.1365 0.0000 0.0000 -4.5683 7.9125 0.0000 0.0000 0.0000 22.2818" Properties=species:S:1:pos:R:3 comment="Na4ZrTiSi3O12 PBE-GGA relaxed" energy_ev_per_cell=-920.80 rho_g_cm3=3.14 pbc="T T T"
Ti 4.5683 2.6375 4.0972
O 2.9519 2.8560 9.2730
O -2.9610 7.6988 20.3302
O 7.5045 0.1848 18.0604
O -1.0397 3.9587 19.1386
O 0.6808 3.6033 10.5933
O 3.8833 1.0072 14.3242
Si 7.7542 2.3884 5.5441
O 6.3342 2.4025 11.6818
O -0.8840 6.5748 5.6901
Na 5.7384 5.2695 20.4313
Zr 0.0000 0.0000 14.4815
O 0.6655 6.7861 7.9549
Ti 0.0000 5.2750 18.2123
Na -1.1940 7.8689 16.7609
O -1.5713 5.4638 16.9230
Na -2.8919 5.5381 12.9996
Na 0.0000 5.2750 3.7085
Na 4.5683 2.6375 7.3435
Na 0.0000 5.2750 14.9149
O 0.9492 6.5414 16.9230
O 2.9307 2.4388 0.5117
Na 4.5683 2.6375 18.6473
Zr 0.0000 5.2750 11.5615
Ti 0.0000 0.0000 19.0123
O 6.3226 2.8595 14.3242
O -0.6670 6.7449 12.9508
O -1.5968 5.0293 1.7157
O -3.6042 6.6054 9.1580
O 5.2031 6.3668 1.8943
Zr 0.0000 0.0000 3.2694
O 5.6036 3.9514 3.1410
O 6.1308 2.5198 5.3960
O 5.2274 4.1474 16.7421
Na 2.8759 0.2645 9.2596
O 2.9542 7.7311 9.1580
Si 1.3005 2.3375 16.8032
Na -1.1760 2.6696 1.8319
Si 1.8937 7.8700 16.8032
O 0.9759 3.9431 7.9549
Na 6.2440 5.0046 5.5612
O -0.9395 3.9623 12.9508
O 1.5970 0.1684 13.0816
O 3.6850 1.3432 5.3960
O -3.4069 6.5060 15.4428
O 1.6597 5.0327 19.1386
O 0.6222 3.8198 16.9230
O -0.6201 6.8335 19.1386
O 1.8094 0.3018 6.8461
Na 0.0000 0.0000 11.1390
O 5.5463 1.3117 16.7421
Si 5.8462 0.3548 1.8187
O 3.8890 4.0495 5.3960
O 0.6499 1.4885 9.1580
O 6.1789 2.8450 20.5390
O 1.1073 6.7004 10.5933
Na 1.7038 2.3349 20.4313
O 5.5592 1.3187 0.5117
O 5.2150 4.1550 0.5117
O -1.7881 5.5212 10.5933
O 1.0211 1.3226 1.8943
O 7.9705 1.4160 6.8461
Si 2.6441 5.2765 20.4390
Si 3.1910 5.5211 5.5441
O 1.6479 5.5212 21.7407
Si 3.2154 0.3051 13.0080
Na 2.8443 5.5592 1.8319
Si 1.3340 7.5730 9.2316
O -0.6837 3.8595 5.6901
Zr 4.5683 2.6375 15.3447
O 7.4805 0.2230 1.8943
O -0.6107 3.7248 21.7407
O 3.5796 6.6274 20.3302
Na 7.4695 2.3584 9.2596
Si -1.3234 7.5641 20.4390
Na 1.6739 7.6479 12.9996
Na 3.3594 5.2896 9.2596
O 3.4989 4.0458 14.3242
O -0.6369 1.6821 4.2626
O 1.6065 5.1176 12.9508
O 8.1922 1.2989 13.0816
O 1.0112 4.0150 1.7157
O -1.6414 5.0958 7.9549
Si -3.1942 5.6174 16.8032
Na 6.2626 0.3081 20.4313
Zr 0.0000 0.0000 7.7738
O 5.1885 1.0839 3.1410
Si 2.7596 0.0029 5.5441
Si 1.9524 2.6721 1.8187
Na 1.6804 2.9052 5.5612
Si 7.2646 2.6321 13.0080
O 3.9250 6.1946 6.8461
Ti 0.0000 5.2750 6.9885
Si 1.3232 2.9707 9.2316
O 3.4818 1.2256 11.6818
O 3.4300 6.5198 4.2626
Si -1.3207 2.9844 20.4390
O 5.2242 6.4067 18.0604
O 3.8888 4.2843 11.6818
O 0.5856 6.7807 1.7157
O 3.5832 3.9286 20.5390
Na -1.6684 7.5961 1.8319
O 2.9127 2.8771 3.1410
Na 5.7803 0.0027 5.5612
O 0.9760 1.3209 18.0604
O -0.6186 1.4988 20.3302
O 5.1872 1.1284 9.2730
Na -1.6494 2.9440 16.7609
O 0.6374 1.7090 15.4428
Si -2.6571 5.2812 9.2316
O 2.9311 2.4533 16.7421
O 3.9155 6.4452 13.0816
Na 1.2181 2.6389 12.9996
Na 0.0000 0.0000 22.2225
Zr 4.5683 2.6375 10.6729
O 2.7696 7.6100 15.4428
O 1.5677 5.3906 5.6901
Si 5.9061 4.8856 1.8187
O 5.5657 3.9281 9.2730
Ti 0.0000 5.2750 0.4013
Ti 4.5683 2.6375 21.8567
Na 2.8434 5.0121 16.7609
O -1.0371 6.5790 21.7407
O -2.7931 7.6230 4.2626
O 3.9426 1.1389 20.5390
Si 3.2248 4.9752 13.0080



[2]
5
Lattice="3.9969 0.0000 0.0000 0.0000 3.9969 0.0000 0.0000 0.0000 3.9969" Properties=species:S:1:pos:R:3 comment="SrReO3 PBE-GGA relaxed" energy_ev_per_cell=-38.92 rho_g_cm3=8.37 pbc="T T T"
O 1.9985 0.0000 1.9985
O 0.0000 1.9985 1.9985
Sr 0.0000 0.0000 0.0000
Re 1.9985 1.9985 1.9985
O 1.9985 1.9985 0.0000



[3]
62
Lattice="10.9330 9.5443 0.0000 -10.9330 9.5443 0.0000 0.0000 9.0401 11.3405" Properties=species:S:1:pos:R:3 comment="Cs6Dy21Te34Cl PBE-GGA relaxed" energy_ev_per_cell=-300.03 rho_g_cm3=6.02 pbc="T T T"
Te 0.0000 21.5678 10.5880
Cs 0.0000 20.0815 6.5183
Dy 8.7845 9.5443 0.0000
Dy 2.2323 13.0585 1.2559
Dy 4.3994 10.4971 4.2802
Te 2.2282 17.0499 4.9615
Te -6.5606 18.1393 9.2093
Te -4.3255 13.5136 3.5247
Te 2.1729 10.1167 2.1254
Dy -4.5018 16.5301 2.8275
Cl 0.0000 4.5200 5.6703
Dy -8.7845 9.5443 0.0000
Dy 4.3994 17.6315 7.0603
Cs 8.3405 14.6269 8.2030
Dy 0.0000 11.4295 8.4785
Cs -8.3405 13.5017 3.1375
Dy -4.3994 17.6315 7.0603
Te -6.5606 9.9893 2.1312
Te 6.5946 11.0560 6.3350
Te 4.3759 21.5690 10.6298
Dy 2.2323 15.0701 10.0846
Te 2.1918 12.0246 10.5761
Te 0.0000 6.5609 0.7526
Te 0.0000 13.6428 3.5053
Dy 4.5018 16.5301 2.8275
Te 6.5606 9.9893 2.1312
Te 2.1729 18.0120 9.2151
Dy -4.5018 11.5985 8.5130
Te 6.5946 17.0726 5.0055
Te -6.5946 11.0560 6.3350
Te -2.2282 11.0787 6.3791
Te -2.2282 17.0499 4.9615
Dy -2.2078 14.0643 5.6703
Dy 2.2078 14.0643 5.6703
Dy 0.0000 16.6991 2.8621
Te 0.0000 19.6523 2.1202
Dy 0.0000 9.5443 0.0000
Te 6.5606 18.1393 9.2093
Dy 4.3644 9.5443 0.0000
Te -2.1729 18.0120 9.2151
Te 0.0000 14.4858 7.8353
Te -6.5946 17.0726 5.0055
Dy -4.3644 9.5443 0.0000
Dy 4.5018 11.5985 8.5130
Dy -4.3994 10.4971 4.2802
Cs -8.3405 14.6269 8.2030
Dy -2.2323 13.0585 1.2559
Te -4.3759 21.5690 10.6298
Te -2.1918 16.1040 0.7644
Te -4.3759 6.5596 0.7107
Te -4.3255 14.6151 7.8159
Te 4.3255 14.6151 7.8159
Te 2.2282 11.0787 6.3791
Te -2.1729 10.1167 2.1254
Te 4.3759 6.5596 0.7107
Te 0.0000 8.4763 9.2204
Cs 8.3405 13.5017 3.1375
Cs 0.0000 8.0471 4.8223
Te -2.1918 12.0246 10.5761
Dy -2.2323 15.0701 10.0846
Te 2.1918 16.1040 0.7644
Te 4.3255 13.5136 3.5247



[4]
14
Lattice="-1.9914 5.2397 1.0503 -1.8615 -4.8931 -2.2617 -4.4303 -4.2637 12.8710" Properties=species:S:1:pos:R:3 comment="Ho3Ge4 PBE-GGA relaxed" energy_ev_per_cell=-75.38 rho_g_cm3=8.46 pbc="T T T"
Ge -5.8610 -4.8347 10.4757
Ge -3.0696 1.8868 3.5205
Ho -2.3332 -1.9662 0.0759
Ge -2.4222 0.9175 1.1839
Ho -5.9500 -1.9510 11.5837
Ho -5.3082 1.5825 10.5534
Ge -5.2135 -5.8040 8.1391
Ge -4.6064 -3.6272 6.8307
Ho -3.6906 -3.2726 4.0194
Ge 0.0000 0.0000 0.0000
Ho -4.5926 -0.6446 7.6402
Ho -2.9750 -5.4996 1.1062
Ge -3.6768 -0.2899 4.8289
Ge -2.2151 -2.1319 6.4355



[5]
46
Lattice="-2.4563 2.9630 4.0329 -1.3058 -6.1407 3.6200 13.5908 1.1480 5.5201" Properties=species:S:1:pos:R:3 comment="Na11TiNb2Si4P2O26 PBE-GGA relaxed" energy_ev_per_cell=-313.74 rho_g_cm3=3.02 pbc="T T T"
Na 6.9773 -3.1532 10.4956
Na 10.3358 1.6668 9.0809
Na -0.8054 -0.4861 5.7680
O 2.5296 -1.8796 8.5402
O 0.5752 -1.7359 3.3035
O 2.4300 -3.8353 4.1315
Nb 2.4763 -1.8043 4.5663
O 0.7995 0.3767 1.8122
P -0.1993 -0.5655 2.5560
O 6.5832 -0.4647 10.4577
Na 4.5202 -2.6037 7.5381
O -1.0071 0.2261 3.6152
Na 2.8692 1.1205 2.6872
Na 10.4952 -4.4572 9.2567
O 10.8357 -2.2561 9.5573
O 9.0305 -2.4062 11.3616
P 10.0287 -1.4639 10.6165
O 4.0637 -1.7414 5.4072
O -2.5955 -1.9652 6.1302
O 7.7065 -2.1835 8.3826
Na -0.5057 -3.6966 4.0924
O 3.4796 1.7477 6.4515
Si 1.1001 -2.0272 7.7994
O 7.2668 -0.1343 4.6527
Si 2.0582 1.4824 5.7217
Si 7.7821 -3.5193 7.4503
Na 10.6333 -1.5421 7.4039
Na 5.2637 0.5563 5.6407
Si 8.7138 -0.0011 5.3638
O 3.2539 -1.5659 2.7134
O 12.4245 -0.0641 7.0422
Na 3.6875 0.4694 8.6013
O 5.7665 -0.2845 7.7639
O 1.2325 -2.1791 6.1592
O 2.1158 0.1490 4.7858
O 8.5954 0.1483 7.0103
O 6.3826 -3.8105 6.6916
Na -0.6665 2.4270 3.9171
Nb 7.3554 -0.2229 8.6036
O 9.2539 -0.2947 9.8680
O 0.3447 -3.4437 8.2717
O 5.1048 1.2526 3.4236
O 9.4834 1.4109 4.9041
O 7.3870 1.8051 9.0403
O 4.7569 -3.2219 9.7733
Ti 6.6191 0.6364 2.8231



[6]
46
Lattice="0.0000 7.8793 7.8793 7.8793 0.0000 7.8793 7.8793 7.8793 0.0000" Properties=species:S:1:pos:R:3 comment="TbCd20Ni2 PBE-GGA relaxed" energy_ev_per_cell=-73.22 rho_g_cm3=8.57 pbc="T T T"
Cd 12.8434 10.7947 8.6889
Cd 13.5785 7.8793 7.8793
Cd 7.8793 2.1802 7.8793
Cd 8.9037 8.9037 4.7492
Tb 7.8793 7.8793 7.8793
Cd 10.7947 12.8434 8.6889
Cd 9.8492 9.8492 9.8492
Cd 9.8492 5.9095 5.9095
Cd 10.7947 10.7947 14.9491
Cd 3.9397 1.7595 3.9397
Cd 5.9095 9.8492 5.9095
Cd 8.9037 11.0095 6.8550
Cd 6.8550 8.9037 11.0095
Cd 7.8793 7.8793 13.5785
Cd 10.7947 14.9491 10.7947
Cd 10.7947 8.6889 12.8434
Cd 12.8434 8.6889 10.7947
Cd 6.1198 3.9397 3.9397
Cd 1.7595 3.9397 3.9397
Cd 4.7492 6.8550 6.8550
Cd 12.8434 14.9491 12.8434
Cd 8.9037 4.7492 8.9037
Cd 3.9397 6.1198 3.9397
Cd 6.8550 4.7492 6.8550
Cd 11.0095 6.8550 8.9037
Cd 6.8550 6.8550 4.7492
Cd 8.6889 12.8434 10.7947
Ni 1.9698 5.9095 5.9095
Cd 14.9491 12.8434 12.8434
Cd 4.7492 8.9037 8.9037
Ni 1.9698 1.9698 1.9698
Cd 3.9397 3.9397 1.7595
Cd 7.8793 7.8793 2.1802
Cd 7.8793 13.5785 7.8793
Ni 5.9095 1.9698 5.9095
Cd 12.8434 12.8434 14.9491
Cd 3.9397 3.9397 6.1198
Cd 8.6889 10.7947 12.8434
Tb 11.8190 11.8190 11.8190
Cd 11.0095 8.9037 6.8550
Cd 2.1802 7.8793 7.8793
Cd 14.9491 10.7947 10.7947
Cd 6.8550 11.0095 8.9037
Ni 5.9095 5.9095 1.9698
Cd 8.9037 6.8550 11.0095
Cd 5.9095 5.9095 9.8492



[7]
5
Lattice="4.2978 0.0000 0.0000 0.0000 4.2978 0.0000 0.0000 0.0000 4.2978" Properties=species:S:1:pos:R:3 comment="KNpO3 PBE-GGA relaxed" energy_ev_per_cell=-42.43 rho_g_cm3=6.78 pbc="T T T"
O 2.1489 0.0000 2.1489
K 0.0000 0.0000 0.0000
O 2.1489 2.1489 0.0000
O 0.0000 2.1489 2.1489
Np 2.1489 2.1489 2.1489



[8]
72
Lattice="11.8816 0.0000 0.0000 0.0000 11.8816 0.0000 0.0000 0.0000 11.8816" Properties=species:S:1:pos:R:3 comment="Ca4SiP4 PBE-GGA relaxed" energy_ev_per_cell=-355.75 rho_g_cm3=2.47 pbc="T T T"
Si 2.9704 0.0000 5.9408
P 7.2243 1.7412 1.4064
Ca 10.1548 4.3598 4.8141
Ca 4.8141 10.1548 4.3598
Ca 4.2104 4.2104 4.2104
Si 0.0000 5.9408 8.9112
P 10.5775 1.3040 10.5775
P 1.7412 1.4064 7.2243
Ca 1.1266 1.5810 4.2140
P 7.3472 4.1996 10.5980
Ca 4.2104 7.6712 7.6712
Ca 10.1512 10.1512 10.1512
Ca 4.3598 7.0674 1.7268
P 4.1996 10.5980 7.3472
Si 8.9112 0.0000 5.9408
P 7.6820 1.2835 7.3472
Si 5.9408 5.9408 5.9408
Ca 7.0674 1.7268 4.3598
P 7.2448 7.2448 7.2448
P 1.4064 7.2243 1.7412
P 10.4752 4.6572 1.7412
Si 0.0000 0.0000 0.0000
Ca 1.7268 7.5217 4.8141
Ca 1.7304 10.1512 1.7304
Si 5.9408 8.9112 0.0000
Ca 7.6676 10.7549 1.5810
P 10.4752 7.2243 10.1404
Ca 10.3006 7.6676 1.1266
P 4.5344 4.1996 1.2835
Ca 1.1266 10.3006 7.6676
Si 5.9408 2.9704 0.0000
P 10.5980 7.3472 4.1996
Ca 7.5217 4.8141 1.7268
P 7.6820 10.5980 4.5344
P 1.2835 4.5344 4.1996
Ca 1.5810 4.2140 1.1266
P 7.2448 4.6368 4.6368
P 10.5980 4.5344 7.6820
Ca 4.2140 1.1266 1.5810
Ca 7.6676 1.1266 10.3006
P 4.6368 7.2448 4.6368
Ca 1.5810 7.6676 10.7549
P 4.6572 10.1404 1.4064
P 4.5344 7.6820 10.5980
Ca 10.1548 7.5217 7.0674
Ca 4.2140 10.7549 10.3006
Ca 7.6712 4.2104 7.6712
P 4.1996 1.2835 4.5344
P 10.1404 1.4064 4.6572
Ca 7.6712 7.6712 4.2104
Si 0.0000 5.9408 2.9704
P 1.4064 4.6572 10.1404
P 7.2243 10.1404 10.4752
Ca 7.5217 7.0674 10.1548
P 7.3472 7.6820 1.2835
Ca 4.3598 4.8141 10.1548
Ca 7.0674 10.1548 7.5217
P 10.5775 10.5775 1.3040
Ca 10.3006 4.2140 10.7549
Ca 4.8141 1.7268 7.5217
Ca 10.1512 1.7304 1.7304
P 1.3040 1.3040 1.3040
P 1.7412 10.4752 4.6572
Ca 10.7549 10.3006 4.2140
P 1.2835 7.3472 7.6820
Ca 1.7268 4.3598 7.0674
P 4.6572 1.7412 10.4752
P 4.6368 4.6368 7.2448
P 1.3040 10.5775 10.5775
P 10.1404 10.4752 7.2243
Ca 1.7304 1.7304 10.1512
Ca 10.7549 1.5810 7.6676